## Tb6Al43Mo4 (PBE)

Data for Tb6Al43Mo4 after structural relaxation.

Cell lengths 11.0731, 11.0731, 17.6306 Å; angles 90.00, 90.00, 120.00 degrees
Element x y z (fractional)
Tb (0.0000, 0.4690, 0.0952)
Tb (0.0000, 0.4690, 0.4048)
Tb (0.0000, 0.5310, 0.5952)
Tb (0.0000, 0.5310, 0.9048)
Tb (0.4690, 0.0000, 0.0952)
Tb (0.4690, 0.0000, 0.4048)
Tb (0.4690, 0.4690, 0.5952)
Tb (0.4690, 0.4690, 0.9048)
Tb (0.5310, 0.0000, 0.5952)
Tb (0.5310, 0.0000, 0.9048)
Tb (0.5310, 0.5310, 0.0952)
Tb (0.5310, 0.5310, 0.4048)
Al (0.0000, 0.1470, 0.7500)
Al (0.0000, 0.1589, 0.1150)
Al (0.0000, 0.1589, 0.3850)
Al (0.0000, 0.2537, 0.5306)
Al (0.0000, 0.2537, 0.9694)
Al (0.0000, 0.7463, 0.0306)
Al (0.0000, 0.7463, 0.4694)
Al (0.0000, 0.8411, 0.6150)
Al (0.0000, 0.8411, 0.8850)
Al (0.0000, 0.8530, 0.2500)
Al (0.1470, 0.0000, 0.7500)
Al (0.1470, 0.1470, 0.2500)
Al (0.1475, 0.5514, 0.2500)
Al (0.1475, 0.5960, 0.7500)
Al (0.1583, 0.3943, 0.6637)
Al (0.1583, 0.3943, 0.8363)
Al (0.1583, 0.7640, 0.1637)
Al (0.1583, 0.7640, 0.3363)
Al (0.1589, 0.0000, 0.1150)
Al (0.1589, 0.0000, 0.3850)
Al (0.1589, 0.1589, 0.6150)
Al (0.1589, 0.1589, 0.8850)
Al (0.2360, 0.3943, 0.1637)
Al (0.2360, 0.3943, 0.3363)
Al (0.2360, 0.8417, 0.6637)
Al (0.2360, 0.8417, 0.8363)
Al (0.2472, 0.4944, 0.0000)
Al (0.2472, 0.4944, 0.5000)
Al (0.2472, 0.7528, 0.0000)
Al (0.2472, 0.7528, 0.5000)
Al (0.2537, 0.0000, 0.5306)
Al (0.2537, 0.0000, 0.9694)
Al (0.2537, 0.2537, 0.0306)
Al (0.2537, 0.2537, 0.4694)
Al (0.3333, 0.6667, 0.1263)
Al (0.3333, 0.6667, 0.3737)
Al (0.3333, 0.6667, 0.6263)
Al (0.3333, 0.6667, 0.8737)
Al (0.3943, 0.1583, 0.6637)
Al (0.3943, 0.1583, 0.8363)
Al (0.3943, 0.2360, 0.1637)
Al (0.3943, 0.2360, 0.3363)
Al (0.4040, 0.5514, 0.7500)
Al (0.4040, 0.8525, 0.2500)
Al (0.4486, 0.5960, 0.2500)
Al (0.4486, 0.8525, 0.7500)
Al (0.4944, 0.2472, 0.0000)
Al (0.4944, 0.2472, 0.5000)
Al (0.5056, 0.7528, 0.0000)
Al (0.5056, 0.7528, 0.5000)
Al (0.5514, 0.1475, 0.2500)
Al (0.5514, 0.4040, 0.7500)
Al (0.5960, 0.1475, 0.7500)
Al (0.5960, 0.4486, 0.2500)
Al (0.6057, 0.7640, 0.6637)
Al (0.6057, 0.7640, 0.8363)
Al (0.6057, 0.8417, 0.1637)
Al (0.6057, 0.8417, 0.3363)
Al (0.6667, 0.3333, 0.1263)
Al (0.6667, 0.3333, 0.3737)
Al (0.6667, 0.3333, 0.6263)
Al (0.6667, 0.3333, 0.8737)
Al (0.7463, 0.0000, 0.0306)
Al (0.7463, 0.0000, 0.4694)
Al (0.7463, 0.7463, 0.5306)
Al (0.7463, 0.7463, 0.9694)
Al (0.7528, 0.2472, 0.0000)
Al (0.7528, 0.2472, 0.5000)
Al (0.7528, 0.5056, 0.0000)
Al (0.7528, 0.5056, 0.5000)
Al (0.7640, 0.1583, 0.1637)
Al (0.7640, 0.1583, 0.3363)
Al (0.7640, 0.6057, 0.6637)
Al (0.7640, 0.6057, 0.8363)
Al (0.8411, 0.0000, 0.6150)
Al (0.8411, 0.0000, 0.8850)
Al (0.8411, 0.8411, 0.1150)
Al (0.8411, 0.8411, 0.3850)
Al (0.8417, 0.2360, 0.6637)
Al (0.8417, 0.2360, 0.8363)
Al (0.8417, 0.6057, 0.1637)
Al (0.8417, 0.6057, 0.3363)
Al (0.8530, 0.0000, 0.2500)
Al (0.8525, 0.4040, 0.2500)
Al (0.8525, 0.4486, 0.7500)
Al (0.8530, 0.8530, 0.7500)
Mo (0.0000, 0.0000, 0.0000)
Mo (0.0000, 0.0000, 0.5000)
Mo (0.0000, 0.2702, 0.2500)
Mo (0.0000, 0.7298, 0.7500)
Mo (0.2702, 0.0000, 0.2500)
Mo (0.2702, 0.2702, 0.7500)
Mo (0.7298, 0.0000, 0.7500)
Mo (0.7298, 0.7298, 0.2500)

Values from the calculation:
SG   P6_3/mcm (193)
Formation energy from the elements   -0.321 eV/atom


## Ce3Zn (PBE)

Data for Ce3Zn after structural relaxation.

Cell lengths 5.6949, 5.6949, 5.6949 Å; angles 132.64, 132.64, 69.22 degrees
Element x y z (fractional)
Ce (0.0000, 0.0000, 0.0000)
Ce (0.2500, 0.7500, 0.5000)
Ce (0.7500, 0.2500, 0.5000)
Zn (0.5000, 0.5000, 0.0000)

Values from the calculation:
SG   I4/mmm (139)
Formation energy from the elements   -0.053 eV/atom


## Ce3Al2I2 (PBE)

Data for Ce3Al2I2 after structural relaxation.

Cell lengths 9.9771, 9.9771, 12.1497 Å; angles 120.82, 120.82, 24.40 degrees
Element x y z (fractional)
Ce (0.0346, 0.0346, 0.1909)
Ce (0.2549, 0.2549, 0.6949)
Ce (0.3280, 0.3280, 0.1023)
Ce (0.6720, 0.6720, 0.8977)
Ce (0.7451, 0.7451, 0.3051)
Ce (0.9654, 0.9654, 0.8091)
Al (0.1596, 0.1596, 0.0844)
Al (0.4262, 0.4262, 0.9675)
Al (0.5738, 0.5738, 0.0325)
Al (0.8404, 0.8404, 0.9156)
I (0.0764, 0.0764, 0.6709)
I (0.3585, 0.3585, 0.5601)
I (0.6415, 0.6415, 0.4399)
I (0.9236, 0.9236, 0.3291)

Values from the calculation:
SG   C2/m (12)
Formation energy from the elements   -0.793 eV/atom


## LiTi3P3O13 (PBE)

Data for LiTi3P3O13 after structural relaxation.

Cell lengths 7.6538, 6.3880, 10.5142 Å; angles 90.00, 99.37, 90.00 degrees
Element x y z (fractional)
Li (0.1035, 0.2500, 0.1377)
Li (0.8965, 0.7500, 0.8623)
Ti (0.1415, 0.2500, 0.8045)
Ti (0.2862, 0.7500, 0.4434)
Ti (0.5000, 0.0000, 0.0000)
Ti (0.5000, 0.5000, 0.0000)
Ti (0.7138, 0.2500, 0.5566)
Ti (0.8585, 0.7500, 0.1955)
P (0.1930, 0.7500, 0.1212)
P (0.2304, 0.7500, 0.7663)
P (0.2789, 0.2500, 0.5163)
P (0.7211, 0.7500, 0.4837)
P (0.7696, 0.2500, 0.2337)
P (0.8070, 0.2500, 0.8788)
O (0.0007, 0.7500, 0.0448)
O (0.1167, 0.5603, 0.7929)
O (0.1167, 0.9397, 0.7929)
O (0.1518, 0.7500, 0.2624)
O (0.1663, 0.2500, 0.6240)
O (0.2410, 0.0541, 0.4319)
O (0.2410, 0.4459, 0.4319)
O (0.2781, 0.7500, 0.6300)
O (0.2924, 0.5481, 0.0958)
O (0.2924, 0.9519, 0.0958)
O (0.3630, 0.2500, 0.9025)
O (0.4058, 0.7500, 0.8687)
O (0.4805, 0.2500, 0.5802)
O (0.5195, 0.7500, 0.4198)
O (0.5942, 0.2500, 0.1313)
O (0.6370, 0.7500, 0.0975)
O (0.7076, 0.0481, 0.9042)
O (0.7076, 0.4519, 0.9042)
O (0.7219, 0.2500, 0.3700)
O (0.7590, 0.5541, 0.5681)
O (0.7590, 0.9459, 0.5681)
O (0.8337, 0.7500, 0.3760)
O (0.8482, 0.2500, 0.7376)
O (0.8833, 0.0603, 0.2071)
O (0.8833, 0.4397, 0.2071)
O (0.9993, 0.2500, 0.9552)

Values from the calculation:
SG   P2_1/m (11)
Formation energy from the elements   -2.988 eV/atom


Q: formation energy from the elements of number 3 (Ce3Al2I2)?
A: -0.793 eV/atom